First-principles (GGA-PBE) data for BaCu2Si2O7 after structural relaxation, as listed in the Materials Project database.

Values from the calculation:
Total energy after the MP2020 corrections = -7.15 eV per atom
Formation enthalpy at 0 K = -2519 meV/atom
Electronic total energy = -81.027 eV/f.u.
Spin magnetization = 0.167 μB per atom

abc: 6.9428 7.0530 13.1909
angles: 90.00 90.00 90.00
Atoms (fractional coordinates):
O 0.6715 0.1364 0.3657
O 0.0702 0.7434 0.3850
O 0.4298 0.2434 0.6150
O 0.4298 0.2434 0.8850
O 0.5702 0.7566 0.1150
O 0.9298 0.2566 0.8850
O 0.9055 0.5148 0.2500
O 0.3285 0.8636 0.6343
O 0.6715 0.1364 0.1343
O 0.3184 0.0311 0.4432
O 0.8184 0.4689 0.0568
O 0.3184 0.0311 0.0568
O 0.6816 0.9689 0.9432
O 0.4055 0.9852 0.2500
O 0.1816 0.5311 0.9432
O 0.1715 0.3636 0.3657
O 0.6816 0.9689 0.5568
O 0.3285 0.8636 0.8657
O 0.5702 0.7566 0.3850
O 0.1816 0.5311 0.5568
O 0.8285 0.6364 0.8657
O 0.8285 0.6364 0.6343
O 0.1715 0.3636 0.1343
O 0.0945 0.4852 0.7500
O 0.5945 0.0148 0.7500
O 0.0702 0.7434 0.1150
O 0.9298 0.2566 0.6150
O 0.8184 0.4689 0.4432
Si 0.4987 0.0249 0.6332
Si 0.5013 0.9751 0.1332
Si 0.4987 0.0249 0.8668
Si 0.9987 0.4751 0.8668
Si 0.9987 0.4751 0.6332
Si 0.0013 0.5249 0.3668
Si 0.5013 0.9751 0.3668
Si 0.0013 0.5249 0.1332
Ba 0.5139 0.4600 0.2500
Ba 0.9861 0.9600 0.7500
Ba 0.4861 0.5400 0.7500
Ba 0.0139 0.0400 0.2500
Cu 0.7208 0.7082 0.9953
Cu 0.7208 0.7082 0.5047
Cu 0.7792 0.2082 0.0047
Cu 0.2792 0.2918 0.0047
Cu 0.7792 0.2082 0.4953
Cu 0.2208 0.7918 0.9953
Cu 0.2208 0.7918 0.5047
Cu 0.2792 0.2918 0.4953